! Nb2ZnO6 | Materials Project | r2SCAN | optimized geometry; values from VASP
! size of the total moment	0.0	μB per formula unit
! calculated volume	11.56	A^3/atom
! E_form	-2.535	eV per atom
! calculated density	5.5	Mg/m³
&SYSTEM
  ibrav = 0, nat = 36, ntyp = 3
/
ATOMIC_SPECIES
O 16.00 O.upf
Nb 92.91 Nb.upf
Zn 65.41 Zn.upf
CELL_PARAMETERS angstrom
-2.9517 3.3303 2.3994
-4.6524 -3.0805 -1.4476
1.2599 -7.5661 12.0514
ATOMIC_POSITIONS crystal
O 0.9262 0.3948 0.4051
O 0.5852 0.8856 0.5789
O 0.0797 0.1220 0.2443
O 0.0852 0.1144 0.5789
Nb 0.2518 0.8153 0.1595
Nb 0.2482 0.3153 0.6595
O 0.9262 0.8948 0.0949
Nb 0.7518 0.6847 0.3405
O 0.0738 0.1052 0.9051
O 0.4148 0.1144 0.4211
Zn 0.2500 0.8297 0.5000
O 0.5738 0.8948 0.9051
Nb 0.2482 0.8153 0.8405
O 0.4262 0.6052 0.4051
Zn 0.7500 0.6703 0.0000
O 0.0797 0.6220 0.2557
O 0.9203 0.8780 0.7557
Nb 0.7482 0.6847 0.6595
Nb 0.7482 0.1847 0.8405
Nb 0.2518 0.3153 0.3405
O 0.4203 0.6220 0.7443
Zn 0.2500 0.3297 0.0000
O 0.0852 0.6144 0.9211
O 0.4262 0.1052 0.0949
O 0.5738 0.3948 0.5949
O 0.5797 0.8780 0.2443
O 0.5852 0.3856 0.9211
O 0.5797 0.3780 0.2557
O 0.9148 0.3856 0.0789
O 0.4203 0.1220 0.7557
Nb 0.7518 0.1847 0.1595
O 0.9148 0.8856 0.4211
O 0.0738 0.6052 0.5949
Zn 0.7500 0.1703 0.5000
O 0.9203 0.3780 0.7443
O 0.4148 0.6144 0.0789